No. 1
Y3BCl3 | PBE-GGA | optimized geometry

Computed properties:
Energy relative to the elements (meV/atom): -1782
E_tot (eV per atom): -6.037
Corrected total energy (MP2020 scheme) (eV/atom): -6.30

Unit cell a=9.480 b=9.480 c=9.480 alpha=109.47 beta=109.47 gamma=109.47
Fractional positions:
Cl: 0.994 0.506 0.250
Cl: 0.994 0.988 0.744
Cl: 0.512 0.506 0.756
Cl: 0.744 0.250 0.756
Cl: 0.756 0.512 0.506
Cl: 0.250 0.994 0.506
Cl: 0.506 0.250 0.994
Cl: 0.756 0.744 0.250
Cl: 0.250 0.756 0.744
Cl: 0.988 0.744 0.994
Cl: 0.506 0.756 0.512
Cl: 0.744 0.994 0.988
Y: 0.234 0.469 0.484
Y: 0.016 0.484 0.750
Y: 0.484 0.750 0.016
Y: 0.031 0.266 0.016
Y: 0.469 0.484 0.234
Y: 0.266 0.016 0.031
Y: 0.234 0.266 0.750
Y: 0.266 0.750 0.234
Y: 0.750 0.234 0.266
Y: 0.484 0.234 0.469
Y: 0.750 0.016 0.484
Y: 0.016 0.031 0.266
B: 0.250 0.250 0.250
B: 0.000 0.250 0.500
B: 0.250 0.500 0.000
B: 0.500 0.000 0.250

***

No. 2
Sr | PBE-GGA | optimized geometry

Computed properties:
Energy relative to the elements (meV/atom): 397
E_tot (eV per atom): -1.292
Total magnetic moment (μB per formula unit): 0.000

Unit cell a=3.851 b=3.851 c=3.851 alpha=90.00 beta=90.00 gamma=90.00
Fractional positions:
Sr: 0.000 0.000 0.000

***

No. 3
PuP | PBE-GGA | optimized geometry

Computed properties:
Energy relative to the elements (meV/atom): -1194
E_tot (eV per atom): -11.034

Unit cell a=4.005 b=4.005 c=4.005 alpha=60.00 beta=60.00 gamma=60.00
Fractional positions:
Pu: 0.000 0.000 0.000
P: 0.500 0.500 0.500

***

No. 4
Al5C3N | PBE-GGA | optimized geometry

Computed properties:
Energy relative to the elements (meV/atom): -370
E_tot (eV per atom): -6.413
Total magnetic moment (μB per formula unit): 0.004
Corrected total energy (MP2020 scheme) (eV/atom): -6.45

Unit cell a=3.346 b=3.346 c=20.971 alpha=90.00 beta=90.00 gamma=120.00
Fractional positions:
N: 0.000 0.000 0.750
N: 0.000 0.000 0.250
C: 0.667 0.333 0.861
C: 0.000 0.000 0.500
C: 0.333 0.667 0.361
C: 0.667 0.333 0.639
C: 0.000 0.000 0.000
C: 0.333 0.667 0.139
Al: 0.333 0.667 0.451
Al: 0.667 0.333 0.750
Al: 0.000 0.000 0.655
Al: 0.667 0.333 0.951
Al: 0.000 0.000 0.155
Al: 0.000 0.000 0.345
Al: 0.333 0.667 0.250
Al: 0.333 0.667 0.049
Al: 0.000 0.000 0.845
Al: 0.667 0.333 0.549

***

No. 5
Na3Ca3SnPS5O24 | PBE-GGA | optimized geometry

Computed properties:
Energy relative to the elements (meV/atom): -2407
E_tot (eV per atom): -6.255
Total magnetic moment (μB per formula unit): 0.001
Corrected total energy (MP2020 scheme) (eV/atom): -6.70

Unit cell a=9.170 b=9.159 c=23.579 alpha=90.02 beta=90.00 gamma=120.29
Fractional positions:
S: 0.302 0.321 0.755
S: 0.298 0.999 0.247
S: 0.640 0.991 0.421
S: 0.008 0.304 0.252
S: 0.667 0.045 0.079
S: 0.959 0.629 0.078
S: 0.626 0.654 0.917
S: 0.688 0.693 0.251
S: 0.381 0.330 0.082
S: 0.952 0.329 0.580
S: 0.016 0.698 0.752
S: 0.345 0.358 0.417
S: 0.016 0.654 0.423
S: 0.679 0.983 0.756
S: 0.367 0.039 0.581
Ca: 0.993 0.991 0.353
Ca: 0.005 0.003 0.851
Ca: 0.331 0.658 0.014
Ca: 0.986 0.994 0.147
Ca: 0.335 0.679 0.323
Ca: 0.681 0.338 0.186
Ca: 0.992 0.004 0.654
Ca: 0.345 0.664 0.517
Ca: 0.660 0.332 0.689
O: 0.980 0.184 0.582
O: 0.515 0.671 0.252
O: 0.203 0.011 0.295
O: 0.332 0.884 0.978
O: 0.110 0.668 0.475
O: 0.322 0.851 0.251
O: 0.544 0.917 0.368
O: 0.209 0.986 0.192
O: 0.178 0.690 0.758
O: 0.189 0.991 0.913
O: 0.509 0.153 0.921
O: 0.843 0.492 0.424
O: 0.847 0.303 0.526
O: 0.654 0.131 0.130
O: 0.207 0.249 0.702
O: 0.785 0.780 0.302
O: 0.115 0.483 0.863
O: 0.505 0.346 0.422
O: 0.470 0.341 0.135
O: 0.842 0.805 0.583
O: 0.665 0.526 0.634
O: 0.317 0.496 0.760
O: 0.813 0.018 0.418
O: 0.665 0.518 0.250
O: 0.865 0.342 0.630
O: 0.979 0.801 0.078
O: 0.797 0.798 0.910
O: 0.685 0.147 0.026
O: 0.169 0.473 0.254
O: 0.993 0.192 0.911
O: 0.340 0.865 0.576
O: 0.996 0.204 0.302
O: 0.466 0.160 0.247
O: 0.372 0.878 0.869
O: 0.199 0.026 0.583
O: 0.475 0.348 0.752
O: 0.554 0.889 0.471
O: 0.989 0.799 0.419
O: 0.199 0.185 0.415
O: 0.476 0.312 0.031
O: 0.518 0.648 0.578
O: 0.099 0.635 0.372
O: 0.471 0.122 0.630
O: 0.870 0.523 0.751
O: 0.784 0.000 0.805
O: 0.506 0.821 0.761
O: 0.858 0.541 0.026
O: 0.021 0.220 0.199
O: 0.817 0.025 0.080
O: 0.361 0.479 0.077
O: 0.551 0.672 0.969
O: 0.652 0.129 0.752
O: 0.451 0.137 0.526
O: 0.860 0.328 0.250
O: 0.215 0.219 0.804
O: 0.509 0.878 0.077
O: 0.000 0.790 0.800
O: 0.331 0.449 0.466
O: 0.749 0.959 0.702
O: 0.131 0.650 0.077
O: 0.036 0.788 0.697
O: 0.214 0.169 0.080
O: 0.127 0.453 0.971
O: 0.654 0.165 0.425
O: 0.701 0.545 0.526
O: 0.368 0.452 0.363
O: 0.517 0.628 0.866
O: 0.772 0.786 0.198
O: 0.635 0.492 0.920
O: 0.115 0.491 0.575
O: 0.851 0.368 0.918
O: 0.874 0.535 0.130
Na: 0.028 0.698 0.585
Na: 0.358 0.357 0.254
Na: 0.667 0.324 0.832
Na: 0.984 0.000 0.503
Na: 0.686 0.333 0.336
Na: 0.001 0.018 0.986
Na: 0.371 0.662 0.669
Na: 0.333 0.667 0.171
Na: 0.297 0.962 0.073
P: 0.675 0.631 0.583
P: 0.342 0.970 0.922
P: 0.028 0.371 0.917
Sn: 0.672 0.332 0.976
Sn: 0.662 0.336 0.486
Sn: 0.325 0.668 0.824

***

No. 6
Ba2CrN3 | PBE-GGA | optimized geometry

Computed properties:
Energy relative to the elements (meV/atom): -985
E_tot (eV per atom): -7.222
Total magnetic moment (μB per formula unit): 0.168
Corrected total energy (MP2020 scheme) (eV/atom): -7.40

Unit cell a=6.540 b=6.540 c=12.947 alpha=90.00 beta=90.00 gamma=126.88
Fractional positions:
Ba: 0.939 0.061 0.141
Ba: 0.643 0.357 0.082
Ba: 0.439 0.561 0.359
Ba: 0.061 0.939 0.859
Ba: 0.561 0.439 0.641
Ba: 0.857 0.143 0.582
Ba: 0.357 0.643 0.918
Ba: 0.143 0.857 0.418
N: 0.332 0.668 0.559
N: 0.596 0.404 0.867
N: 0.404 0.596 0.133
N: 0.096 0.904 0.633
N: 0.983 0.517 0.250
N: 0.017 0.483 0.750
N: 0.483 0.017 0.250
N: 0.832 0.168 0.941
N: 0.517 0.983 0.750
N: 0.168 0.832 0.059
N: 0.668 0.332 0.441
N: 0.904 0.096 0.367
Cr: 0.740 0.260 0.832
Cr: 0.260 0.740 0.168
Cr: 0.760 0.240 0.332
Cr: 0.240 0.760 0.668

***

What is the energy relative to the elements in the fifth record? -2407 meV/atom

***

Which value of energy relative to the elements does entry 1 give? -1782 meV/atom

***

energy relative to the elements of number 3 (PuP)? -1194 meV/atom

***

What is the formula in the second record? Sr